# 1
An optimized crystal structure of TcN, computed with PBE.

Geometry as POSCAR:
```
TcN
1.0
2.714 0.000 0.000
0.000 2.714 0.000
0.000 0.000 6.141
Tc N
2 2
Direct
0.000 0.500 0.000 Tc
0.500 0.000 0.500 Tc
0.000 0.000 0.250 N
0.000 0.000 0.750 N
```

Calculated values
Energy relative to the elements in eV/atom: 0.1818
M_tot in Bohr magnetons per cell: 0.00
Theoretical density in g/cm³: 8.22
E above lowest polymorph in eV per atom: 0.355
Symmetry: No. 131

---

# 2
An optimized crystal structure of BaMgTi4O8, computed with PBE.

Geometry as POSCAR:
```
BaMgTi4O8
1.0
5.392 0.000 0.000
-2.696 4.669 0.000
0.000 0.000 7.512
Ba Mg Ti O
1 1 4 8
Direct
0.000 0.000 0.000 Ba
0.000 0.000 0.500 Mg
0.333 0.667 0.252 Ti
0.333 0.667 0.748 Ti
0.667 0.333 0.252 Ti
0.667 0.333 0.748 Ti
0.000 0.315 0.326 O
0.000 0.685 0.674 O
0.315 0.000 0.326 O
0.315 0.315 0.674 O
0.333 0.667 0.000 O
0.667 0.333 0.000 O
0.685 0.000 0.674 O
0.685 0.685 0.326 O
```

Calculated values
Energy relative to the elements in eV/atom: -3.0780
M_tot in Bohr magnetons per cell: 1.93
Theoretical density in g/cm³: 4.22
Symmetry: No. 162

---

# 3
An optimized crystal structure of NdSi2Pd2, computed with PBE.

Geometry as POSCAR:
```
NdSi2Pd2
1.0
-2.120 2.120 4.997
2.120 -2.120 4.997
2.120 2.120 -4.997
Nd Si Pd
1 2 2
Direct
0.000 0.000 0.000 Nd
0.381 0.381 0.000 Si
0.619 0.619 0.000 Si
0.250 0.750 0.500 Pd
0.750 0.250 0.500 Pd
```

Calculated values
Energy relative to the elements in eV/atom: -0.9443
Theoretical density in g/cm³: 7.64
Symmetry: No. 139

---

# 4
An optimized crystal structure of Li9Ti12NbO30, computed with PBE.

Geometry as POSCAR:
```
Li9Ti12NbO30
1.0
5.135 0.000 0.000
2.568 4.449 0.000
2.560 1.474 23.634
Li Ti Nb O
9 12 1 30
Direct
0.000 0.000 0.000 Li
0.052 0.052 0.845 Li
0.272 0.272 0.185 Li
0.416 0.416 0.752 Li
0.500 0.500 0.501 Li
0.553 0.552 0.342 Li
0.634 0.635 0.096 Li
0.772 0.771 0.685 Li
0.916 0.916 0.251 Li
0.091 0.091 0.725 Ti
0.131 0.130 0.609 Ti
0.188 0.188 0.436 Ti
0.230 0.230 0.309 Ti
0.322 0.322 0.034 Ti
0.364 0.364 0.908 Ti
0.459 0.459 0.624 Ti
0.592 0.593 0.222 Ti
0.688 0.688 0.936 Ti
0.730 0.730 0.810 Ti
0.823 0.823 0.531 Ti
0.864 0.864 0.407 Ti
0.958 0.959 0.125 Nb
0.011 0.648 0.071 O
0.022 0.676 0.872 O
0.031 0.377 0.969 O
0.037 0.410 0.769 O
0.122 0.875 0.470 O
0.150 0.789 0.667 O
0.152 0.485 0.571 O
0.176 0.520 0.374 O
0.271 0.012 0.071 O
0.281 0.651 0.172 O
0.289 0.905 0.271 O
0.377 0.623 0.969 O
0.393 0.150 0.667 O
0.410 0.784 0.769 O
0.430 0.022 0.872 O
0.485 0.792 0.571 O
0.521 0.930 0.374 O
0.532 0.122 0.470 O
0.533 0.289 0.271 O
0.622 0.032 0.969 O
0.647 0.270 0.071 O
0.652 0.896 0.172 O
0.676 0.430 0.872 O
0.784 0.036 0.769 O
0.789 0.393 0.667 O
0.793 0.152 0.571 O
0.876 0.532 0.470 O
0.897 0.281 0.172 O
0.906 0.533 0.271 O
0.929 0.176 0.374 O
```

Calculated values
Energy relative to the elements in eV/atom: -3.1810
M_tot in Bohr magnetons per cell: 2.00
Theoretical density in g/cm³: 3.72
Symmetry: No. 1

---

What did the third record say?
An optimized crystal structure of NdSi2Pd2, computed with PBE.

Geometry as POSCAR:
```
NdSi2Pd2
1.0
-2.120 2.120 4.997
2.120 -2.120 4.997
2.120 2.120 -4.997
Nd Si Pd
1 2 2
Direct
0.000 0.000 0.000 Nd
0.381 0.381 0.000 Si
0.619 0.619 0.000 Si
0.250 0.750 0.500 Pd
0.750 0.250 0.500 Pd
```

Calculated values
Energy relative to the elements in eV/atom: -0.9443
Theoretical density in g/cm³: 7.64
Symmetry: No. 139